a | Below is a geometry-optimized MgMn12O14F10 structure, with properties calculated at the PBE+U level.

Geometry as CIF:
```
data_MgMn12O14F10
_chemical_formula_sum 'Mg1 Mn12 O14 F10'
_space_group_name_H-M_alt 'P 1'
_space_group_IT_number 1
_cell_length_a 4.851
_cell_length_b 5.788
_cell_length_c 15.175
_cell_angle_alpha 92.70
_cell_angle_beta 90.80
_cell_angle_gamma 91.00
loop_
_space_group_symop_operation_xyz
'x,y,z'
loop_
_atom_site_label
_atom_site_type_symbol
_atom_site_fract_x
_atom_site_fract_y
_atom_site_fract_z
Mg1 Mg 0.000 0.000 0.000
Mn1 Mn 0.013 0.458 0.652
Mn2 Mn 0.022 0.476 0.983
Mn3 Mn 0.494 0.968 0.661
Mn4 Mn 0.508 0.923 0.336
Mn5 Mn 0.509 0.268 0.498
Mn6 Mn 0.510 0.218 0.165
Mn7 Mn 0.515 0.738 0.995
Mn8 Mn 0.548 0.266 0.840
Mn9 Mn 0.946 0.746 0.168
Mn10 Mn 0.955 0.436 0.329
Mn11 Mn 0.991 0.739 0.486
Mn12 Mn 0.999 0.811 0.810
O1 O 0.181 0.724 0.059
O2 O 0.198 0.700 0.382
O3 O 0.217 0.489 0.547
O4 O 0.223 0.744 0.710
O5 O 0.347 0.506 0.909
O6 O 0.701 0.940 0.090
O7 O 0.707 0.009 0.769
O8 O 0.707 0.229 0.608
O9 O 0.711 0.973 0.442
O10 O 0.720 0.185 0.279
O11 O 0.733 0.691 0.270
O12 O 0.767 0.484 0.437
O13 O 0.830 0.236 0.926
O14 O 0.836 0.737 0.925
F1 F 0.169 0.456 0.217
F2 F 0.220 0.235 0.062
F3 F 0.245 0.985 0.552
F4 F 0.261 0.954 0.227
F5 F 0.266 0.206 0.388
F6 F 0.266 0.246 0.741
F7 F 0.299 0.981 0.904
F8 F 0.723 0.469 0.086
F9 F 0.765 0.731 0.594
F10 F 0.792 0.502 0.762
```


b | Below is a geometry-optimized MgMn12O14F10 structure, with properties calculated at the PBE+U level.

Geometry as CIF:
```
data_MgMn12O14F10
_chemical_formula_sum 'Mg1 Mn12 O14 F10'
_space_group_name_H-M_alt 'P 1'
_space_group_IT_number 1
_cell_length_a 4.806
_cell_length_b 5.802
_cell_length_c 15.217
_cell_angle_alpha 89.61
_cell_angle_beta 87.65
_cell_angle_gamma 89.05
loop_
_space_group_symop_operation_xyz
'x,y,z'
loop_
_atom_site_label
_atom_site_type_symbol
_atom_site_fract_x
_atom_site_fract_y
_atom_site_fract_z
Mg1 Mg 0.000 0.000 0.000
Mn1 Mn 0.015 0.268 0.489
Mn2 Mn 0.018 0.575 0.322
Mn3 Mn 0.041 0.271 0.166
Mn4 Mn 0.450 0.768 0.829
Mn5 Mn 0.472 0.092 0.660
Mn6 Mn 0.475 0.255 0.006
Mn7 Mn 0.485 0.757 0.164
Mn8 Mn 0.495 0.761 0.504
Mn9 Mn 0.530 0.075 0.339
Mn10 Mn 0.980 0.247 0.813
Mn11 Mn 0.990 0.557 0.648
Mn12 Mn 0.999 0.529 0.991
O1 O 0.172 0.263 0.927
O2 O 0.188 0.757 0.932
O3 O 0.218 0.321 0.595
O4 O 0.265 0.802 0.607
O5 O 0.267 0.025 0.104
O6 O 0.272 0.042 0.768
O7 O 0.295 0.487 0.085
O8 O 0.300 0.034 0.443
O9 O 0.302 0.804 0.276
O10 O 0.765 0.308 0.711
O11 O 0.783 0.538 0.547
O12 O 0.812 0.282 0.059
O13 O 0.814 0.299 0.381
O14 O 0.836 0.538 0.214
F1 F 0.203 0.537 0.758
F2 F 0.254 0.542 0.426
F3 F 0.293 0.306 0.266
F4 F 0.685 0.041 0.912
F5 F 0.706 0.496 0.886
F6 F 0.731 0.044 0.558
F7 F 0.738 0.791 0.721
F8 F 0.750 0.773 0.055
F9 F 0.753 0.796 0.397
F10 F 0.756 0.037 0.225
```


Relative energies, in meV per atom, with the most stable structure set to zero: a 0; b 15.


a | Below is a geometry-optimized Fe2Cl6O5 structure, with properties calculated at the PBE+U level.

Geometry as CIF:
```
data_Fe2Cl6O5
_chemical_formula_sum 'Fe8 Cl24 O20'
_space_group_name_H-M_alt 'P c a 21'
_space_group_IT_number 29
_cell_length_a 12.491
_cell_length_b 6.068
_cell_length_c 17.616
_cell_angle_alpha 90.00
_cell_angle_beta 90.00
_cell_angle_gamma 90.00
loop_
_space_group_symop_operation_xyz
'x,y,z'
'-x,-y,z+1/2'
'-x+1/2,y,z+1/2'
'x+1/2,-y,z'
loop_
_atom_site_label
_atom_site_type_symbol
_atom_site_fract_x
_atom_site_fract_y
_atom_site_fract_z
Fe1 Fe 0.018 0.037 0.000
Fe2 Fe 0.245 0.581 0.747
Cl1 Cl 0.028 0.415 0.991
Cl2 Cl 0.055 0.059 0.608
Cl3 Cl 0.055 0.083 0.395
Cl4 Cl 0.127 0.382 0.188
Cl5 Cl 0.170 0.286 0.805
Cl6 Cl 0.196 0.946 0.002
O1 O 0.143 0.765 0.776
O2 O 0.202 0.836 0.217
O3 O 0.208 0.326 0.990
O4 O 0.212 0.557 0.646
O5 O 0.221 0.591 0.347
```


b | Below is a geometry-optimized Fe2Cl6O5 structure, with properties calculated at the PBE+U level.

Geometry as CIF:
```
data_Fe2Cl6O5
_chemical_formula_sum 'Fe8 Cl24 O20'
_space_group_name_H-M_alt 'P c a 21'
_space_group_IT_number 29
_cell_length_a 13.190
_cell_length_b 6.707
_cell_length_c 15.158
_cell_angle_alpha 90.00
_cell_angle_beta 90.00
_cell_angle_gamma 90.00
loop_
_space_group_symop_operation_xyz
'x,y,z'
'-x,-y,z+1/2'
'-x+1/2,y,z+1/2'
'x+1/2,-y,z'
loop_
_atom_site_label
_atom_site_type_symbol
_atom_site_fract_x
_atom_site_fract_y
_atom_site_fract_z
Fe1 Fe 0.018 0.011 0.000
Fe2 Fe 0.226 0.562 0.286
Cl1 Cl 0.028 0.340 0.978
Cl2 Cl 0.054 0.129 0.383
Cl3 Cl 0.078 0.056 0.615
Cl4 Cl 0.127 0.412 0.786
Cl5 Cl 0.153 0.293 0.222
Cl6 Cl 0.173 0.894 0.012
O1 O 0.162 0.715 0.217
O2 O 0.168 0.561 0.594
O3 O 0.181 0.555 0.386
O4 O 0.212 0.800 0.796
O5 O 0.235 0.453 0.567
```


Relative energies, in meV per atom, with the most stable structure set to zero: a 0; b 92.